# 1
This record from Materials Project describes crystalline Mn6OF11 at its relaxed geometry. The functional is PBE with a Hubbard U.

Computed properties:
space group = No. 1
raw total energy = -116.26 eV per formula unit
magnetization = 58.0 Bohr magnetons per cell
energy above the most stable polymorph in this dataset = 13 meV/atom
crystal system = triclinic

Structure (POSCAR):
```
Mn6OF11
1.0
4.968 0.000 0.000
0.014 5.889 0.000
0.052 0.094 16.179
Mn O F
12 2 22
direct
0.000 0.000 0.000
0.000 0.342 0.167
0.004 0.341 0.830
0.018 0.357 0.487
0.026 0.989 0.327
0.479 0.527 0.333
0.486 0.836 0.171
0.499 0.823 0.492
0.502 0.504 0.998
0.503 0.500 0.662
0.503 0.845 0.830
0.997 0.005 0.659
0.287 0.765 0.279
0.300 0.575 0.439
0.223 0.283 0.603
0.231 0.068 0.770
0.232 0.069 0.441
0.235 0.067 0.108
0.235 0.276 0.940
0.238 0.270 0.275
0.266 0.567 0.107
0.271 0.777 0.940
0.275 0.568 0.772
0.282 0.782 0.603
0.716 0.548 0.229
0.723 0.780 0.061
0.734 0.570 0.888
0.736 0.776 0.719
0.748 0.566 0.554
0.752 0.795 0.392
0.758 0.058 0.546
0.761 0.301 0.380
0.770 0.274 0.720
0.773 0.067 0.889
0.777 0.282 0.056
0.781 0.055 0.220
```

# 2
This record from Materials Project describes crystalline Mn6OF11 at its relaxed geometry. The functional is PBE with a Hubbard U.

Computed properties:
space group = No. 4
raw total energy = -116.30 eV per formula unit
magnetization = 58.0 Bohr magnetons per cell
energy above the most stable polymorph in this dataset = 11 meV/atom
crystal system = monoclinic

Structure (POSCAR):
```
Mn6OF11
1.0
5.907 0.000 0.000
0.000 4.933 0.000
-0.111 0.000 16.236
Mn O F
12 2 22
direct
0.074 0.000 0.072
0.079 0.992 0.753
0.082 0.995 0.416
0.397 0.988 0.920
0.413 0.987 0.244
0.420 0.995 0.585
0.580 0.495 0.415
0.587 0.487 0.756
0.603 0.488 0.080
0.918 0.495 0.584
0.921 0.492 0.247
0.926 0.500 0.928
0.122 0.786 0.972
0.878 0.286 0.028
0.130 0.206 0.183
0.143 0.767 0.642
0.146 0.227 0.526
0.146 0.240 0.859
0.147 0.760 0.305
0.351 0.763 0.132
0.353 0.224 0.355
0.355 0.228 0.695
0.356 0.765 0.474
0.364 0.773 0.807
0.370 0.229 0.026
0.630 0.729 0.974
0.636 0.273 0.193
0.644 0.265 0.526
0.645 0.728 0.305
0.647 0.724 0.645
0.649 0.263 0.868
0.853 0.260 0.695
0.854 0.727 0.474
0.854 0.740 0.141
0.857 0.267 0.358
0.870 0.706 0.817
```

# 3
This record from Materials Project describes crystalline Mn3O4F2 at its relaxed geometry. The functional is PBE with a Hubbard U.

Computed properties:
space group = No. 14
raw total energy = -61.57 eV per formula unit
magnetization = 22.0 Bohr magnetons per cell
energy above the most stable polymorph in this dataset = 21 meV/atom
crystal system = monoclinic

Structure (POSCAR):
```
Mn3O4F2
1.0
4.627 0.000 0.000
0.000 4.613 0.000
-4.594 0.000 9.189
Mn O F
6 8 4
direct
0.000 0.000 0.000
0.000 0.500 0.500
0.310 0.020 0.340
0.310 0.480 0.840
0.690 0.520 0.160
0.690 0.980 0.660
0.020 0.177 0.830
0.020 0.323 0.330
0.309 0.692 0.001
0.309 0.808 0.501
0.691 0.192 0.499
0.691 0.308 0.999
0.980 0.677 0.670
0.980 0.823 0.170
0.382 0.221 0.179
0.382 0.279 0.679
0.618 0.721 0.321
0.618 0.779 0.821
```

Number 1 is which compound?
Mn6OF11

What is the formula in the first record?
Mn6OF11

Which of these has the highest raw total energy?
Mn3O4F2